Here is a relaxed CeS2NO8 crystal from Materials Project. Energies are from GGA-PBE.

## Properties
Total moment = 3.00 μB per formula unit
Crystal system = monoclinic
Energy = -6.487 eV per atom

abc: 7.0163 5.3484 9.1280
angles: 90.00 99.66 90.00
Space group P2_1/m (No. 11)
Unique sites:
Ce 0.1958 0.2500 0.2718
S 0.1881 0.7500 0.0763
S 0.2755 0.7500 0.5646
N 0.3167 0.2500 0.8072
O 0.0620 0.7500 0.9284
O 0.0758 0.7500 0.2017
O 0.0964 0.7500 0.6311
O 0.2766 0.5224 0.4700
O 0.3082 0.5187 0.0917
O 0.4479 0.7500 0.6811